# ZnBi2B2O7, relaxed, DFT r²SCAN
data_ZnBi2B2O7
_symmetry_space_group_name_H-M 'P b a 2'
_symmetry_Int_Tables_number 32
_symmetry_space_group_name_Hall 'P 2 -2ab'
_cell_length_a 10.8220
_cell_length_b 10.9714
_cell_length_c 4.9014
_cell_angle_alpha 90.00
_cell_angle_beta 90.00
_cell_angle_gamma 90.00
loop_
_atom_site_label
_atom_site_fract_x
_atom_site_fract_y
_atom_site_fract_z
Zn1 0.2418 0.2411 0.0000
Bi1 0.0144 0.3140 0.5085
Bi2 0.1790 0.9692 0.5120
B1 0.0143 0.8724 0.0554
B2 0.1163 0.5197 0.0107
O1 0.0000 0.0000 0.1458
O2 0.0000 0.5000 0.8865
O3 0.0212 0.8590 0.7588
O4 0.0875 0.2017 0.1790
O5 0.1291 0.8263 0.1988
O6 0.1349 0.4780 0.2674
O7 0.1984 0.5842 0.8607
O8 0.2000 0.3265 0.6682
# VASP energy: -17.16 eV/atom

# Gd3BBr3, relaxed, DFT r²SCAN
data_Gd3BBr3
_symmetry_space_group_name_H-M 'I 41 3 2'
_symmetry_Int_Tables_number 214
_symmetry_space_group_name_Hall 'I 4bd 2c 3'
_cell_length_a 11.3841
_cell_length_b 11.3841
_cell_length_c 11.3841
_cell_angle_alpha 90.00
_cell_angle_beta 90.00
_cell_angle_gamma 90.00
loop_
_atom_site_label
_atom_site_fract_x
_atom_site_fract_y
_atom_site_fract_z
Gd1 0.1048 0.3548 0.1250
B1 0.1250 0.1250 0.1250
Br1 0.1171 0.1329 0.6250
# VASP energy: -26.79 eV/atom

Formation enthalpy at 0 K in eV per atom, matching the order above: -1.958, -1.456